# Cr20W3C6, relaxed, DFT GGA-PBE
data_Cr20W3C6
_chemical_formula_sum 'Cr20 W3 C6'
_cell_length_a 7.563
_cell_length_b 7.563
_cell_length_c 7.563
_cell_angle_alpha 60.00
_cell_angle_beta 60.00
_cell_angle_gamma 60.00
_space_group_name_H-M_alt 'P 1'
_space_group_IT_number 1
loop_
_space_group_symop_operation_xyz
'x,y,z'
loop_
_atom_site_label
_atom_site_fract_x
_atom_site_fract_y
_atom_site_fract_z
Cr1 0.000 0.000 0.344
Cr2 0.656 0.000 0.000
Cr3 0.385 0.385 0.385
Cr4 0.344 0.000 0.656
Cr5 0.344 0.656 0.000
Cr6 0.615 0.615 0.154
Cr7 0.846 0.385 0.385
Cr8 0.385 0.385 0.846
Cr9 0.000 0.656 0.344
Cr10 0.656 0.000 0.344
Cr11 0.656 0.344 0.000
Cr12 0.344 0.000 0.000
Cr13 0.385 0.846 0.385
Cr14 0.000 0.000 0.656
Cr15 0.154 0.615 0.615
Cr16 0.000 0.344 0.656
Cr17 0.615 0.154 0.615
Cr18 0.000 0.656 0.000
Cr19 0.615 0.615 0.615
Cr20 0.000 0.344 0.000
C1 0.276 0.724 0.276
C2 0.276 0.276 0.724
C3 0.724 0.276 0.724
C4 0.724 0.276 0.276
C5 0.724 0.724 0.276
C6 0.276 0.724 0.724
W1 0.000 0.000 0.000
W2 0.250 0.250 0.250
W3 0.750 0.750 0.750
# Symmetry   No. 225


# Cr21W2C6, relaxed, DFT GGA-PBE
data_Cr21W2C6
_chemical_formula_sum 'Cr21 W2 C6'
_cell_length_a 7.530
_cell_length_b 7.530
_cell_length_c 7.530
_cell_angle_alpha 60.00
_cell_angle_beta 60.00
_cell_angle_gamma 60.00
_space_group_name_H-M_alt 'P 1'
_space_group_IT_number 1
loop_
_space_group_symop_operation_xyz
'x,y,z'
loop_
_atom_site_label
_atom_site_fract_x
_atom_site_fract_y
_atom_site_fract_z
C1 0.725 0.275 0.275
C2 0.725 0.725 0.275
C3 0.725 0.275 0.725
C4 0.275 0.275 0.725
C5 0.275 0.725 0.725
C6 0.275 0.725 0.275
Cr1 0.000 0.662 0.338
Cr2 0.662 0.000 0.000
Cr3 0.000 0.338 0.000
Cr4 0.338 0.000 0.000
Cr5 0.000 0.000 0.000
Cr6 0.000 0.000 0.662
Cr7 0.615 0.615 0.154
Cr8 0.615 0.154 0.615
Cr9 0.385 0.846 0.385
Cr10 0.154 0.615 0.615
Cr11 0.846 0.385 0.385
Cr12 0.338 0.662 0.000
Cr13 0.662 0.000 0.338
Cr14 0.385 0.385 0.846
Cr15 0.000 0.338 0.662
Cr16 0.615 0.615 0.615
Cr17 0.385 0.385 0.385
Cr18 0.000 0.662 0.000
Cr19 0.000 0.000 0.338
Cr20 0.662 0.338 0.000
Cr21 0.338 0.000 0.662
W1 0.750 0.750 0.750
W2 0.250 0.250 0.250
# Symmetry   No. 225


# Cr3W20C6, relaxed, DFT GGA-PBE
data_Cr3W20C6
_chemical_formula_sum 'Cr3 W20 C6'
_cell_length_a 8.202
_cell_length_b 8.202
_cell_length_c 8.202
_cell_angle_alpha 60.00
_cell_angle_beta 60.00
_cell_angle_gamma 60.00
_space_group_name_H-M_alt 'P 1'
_space_group_IT_number 1
loop_
_space_group_symop_operation_xyz
'x,y,z'
loop_
_atom_site_label
_atom_site_fract_x
_atom_site_fract_y
_atom_site_fract_z
W1 0.381 0.381 0.381
W2 0.335 0.000 0.665
W3 0.335 0.665 0.000
W4 0.000 0.665 0.335
W5 0.665 0.000 0.000
W6 0.000 0.000 0.665
W7 0.619 0.142 0.619
W8 0.000 0.335 0.000
W9 0.619 0.619 0.619
W10 0.000 0.335 0.665
W11 0.619 0.619 0.142
W12 0.665 0.000 0.335
W13 0.665 0.335 0.000
W14 0.142 0.619 0.619
W15 0.335 0.000 0.000
W16 0.381 0.381 0.858
W17 0.000 0.665 0.000
W18 0.858 0.381 0.381
W19 0.381 0.858 0.381
W20 0.000 0.000 0.335
C1 0.722 0.278 0.722
C2 0.278 0.722 0.722
C3 0.278 0.278 0.722
C4 0.278 0.722 0.278
C5 0.722 0.722 0.278
C6 0.722 0.278 0.278
Cr1 0.250 0.250 0.250
Cr2 0.750 0.750 0.750
Cr3 0.000 0.000 0.000
# Symmetry   No. 225


Listing DFT formation energy for the structures above in their given order: -55 -85 182 meV per atom.